(1)
{"formula": "Na6NbAl3Si2P4O24", "functional": "PBE-GGA", "state": "relaxed", "e_form_kj_per_mol_fu": -11154, "total_magnetization_mub_per_atom": 0.000, "energy_ev_per_atom": -6.991, "lattice_angstrom": [[-12.868, 3.214, 7.305], [-4.199, -6.036, -4.777], [5.777, -6.086, 2.555]], "species": ["Na", "Na", "Na", "Na", "Na", "Na", "Na", "Na", "Na", "Na", "Na", "Na", "Nb", "Nb", "Al", "Al", "Al", "Al", "Al", "Al", "Si", "Si", "Si", "Si", "P", "P", "P", "P", "P", "P", "P", "P", "O", "O", "O", "O", "O", "O", "O", "O", "O", "O", "O", "O", "O", "O", "O", "O", "O", "O", "O", "O", "O", "O", "O", "O", "O", "O", "O", "O", "O", "O", "O", "O", "O", "O", "O", "O", "O", "O", "O", "O", "O", "O", "O", "O", "O", "O", "O", "O"], "fractional_positions": [[0.251, 0.749, 0.000], [0.745, 0.751, 0.487], [0.751, 0.249, 0.000], [0.245, 0.251, 0.487], [0.495, 0.101, 0.737], [0.505, 0.887, 0.257], [0.995, 0.601, 0.737], [0.005, 0.387, 0.257], [0.192, 0.929, 0.289], [0.807, 0.071, 0.708], [0.692, 0.429, 0.289], [0.307, 0.571, 0.708], [0.895, 0.749, 0.935], [0.395, 0.249, 0.935], [0.106, 0.752, 0.564], [0.895, 0.248, 0.437], [0.103, 0.253, 0.060], [0.606, 0.252, 0.564], [0.395, 0.748, 0.437], [0.603, 0.753, 0.060], [0.354, 0.885, 0.751], [0.654, 0.098, 0.257], [0.854, 0.385, 0.751], [0.154, 0.598, 0.257], [0.008, 0.969, 0.752], [0.000, 0.043, 0.257], [0.508, 0.469, 0.752], [0.500, 0.543, 0.257], [0.638, 0.893, 0.741], [0.356, 0.108, 0.265], [0.138, 0.393, 0.741], [0.856, 0.608, 0.265], [0.146, 0.570, 0.738], [0.847, 0.577, 0.761], [0.853, 0.431, 0.260], [0.150, 0.415, 0.232], [0.646, 0.070, 0.738], [0.347, 0.077, 0.761], [0.353, 0.931, 0.260], [0.650, 0.915, 0.232], [0.437, 0.572, 0.584], [0.576, 0.558, 0.934], [0.564, 0.431, 0.418], [0.427, 0.449, 0.073], [0.937, 0.072, 0.584], [0.076, 0.058, 0.934], [0.064, 0.931, 0.418], [0.927, 0.949, 0.073], [0.250, 0.810, 0.732], [0.739, 0.831, 0.753], [0.751, 0.187, 0.266], [0.254, 0.170, 0.240], [0.750, 0.310, 0.732], [0.239, 0.331, 0.753], [0.251, 0.687, 0.266], [0.754, 0.670, 0.240], [0.358, 0.864, 0.571], [0.640, 0.850, 0.912], [0.641, 0.135, 0.426], [0.359, 0.152, 0.093], [0.858, 0.364, 0.571], [0.140, 0.350, 0.912], [0.141, 0.635, 0.426], [0.859, 0.652, 0.093], [0.462, 0.821, 0.939], [0.539, 0.832, 0.561], [0.540, 0.176, 0.069], [0.457, 0.173, 0.438], [0.962, 0.321, 0.939], [0.039, 0.332, 0.561], [0.040, 0.676, 0.069], [0.957, 0.673, 0.438], [0.078, 0.851, 0.736], [0.921, 0.868, 0.759], [0.926, 0.154, 0.269], [0.082, 0.136, 0.242], [0.578, 0.351, 0.736], [0.421, 0.368, 0.759], [0.426, 0.654, 0.269], [0.582, 0.636, 0.242]]}



(2)
{"formula": "CeCd20Ni2", "functional": "PBE-GGA", "state": "relaxed", "e_form_kj_per_mol_fu": -166, "total_magnetization_mub_per_atom": 0.007, "energy_ev_per_atom": -1.638, "space_group": "Fd-3m (227)", "lattice_angstrom": [[-1.423, -4.417, 10.180], [1.432, 6.346, 9.101], [-8.829, 2.964, 6.199]], "species": ["Ce", "Ce", "Cd", "Cd", "Cd", "Cd", "Cd", "Cd", "Cd", "Cd", "Cd", "Cd", "Cd", "Cd", "Cd", "Cd", "Cd", "Cd", "Cd", "Cd", "Cd", "Cd", "Cd", "Cd", "Cd", "Cd", "Cd", "Cd", "Cd", "Cd", "Cd", "Cd", "Cd", "Cd", "Cd", "Cd", "Cd", "Cd", "Cd", "Cd", "Cd", "Cd", "Ni", "Ni", "Ni", "Ni"], "fractional_positions": [[0.500, 0.500, 0.500], [0.750, 0.750, 0.750], [0.569, 0.300, 0.300], [0.300, 0.569, 0.831], [0.300, 0.831, 0.569], [0.831, 0.300, 0.300], [0.300, 0.300, 0.569], [0.569, 0.831, 0.300], [0.831, 0.569, 0.300], [0.300, 0.300, 0.831], [0.300, 0.569, 0.300], [0.831, 0.300, 0.569], [0.569, 0.300, 0.831], [0.300, 0.831, 0.300], [0.681, 0.950, 0.950], [0.950, 0.681, 0.419], [0.950, 0.419, 0.681], [0.419, 0.950, 0.950], [0.950, 0.950, 0.681], [0.681, 0.419, 0.950], [0.419, 0.681, 0.950], [0.950, 0.950, 0.419], [0.950, 0.681, 0.950], [0.419, 0.950, 0.681], [0.681, 0.950, 0.419], [0.950, 0.419, 0.950], [0.864, 0.864, 0.136], [0.136, 0.136, 0.864], [0.864, 0.136, 0.864], [0.136, 0.864, 0.136], [0.136, 0.864, 0.864], [0.864, 0.136, 0.136], [0.386, 0.386, 0.114], [0.114, 0.114, 0.386], [0.386, 0.114, 0.386], [0.114, 0.386, 0.114], [0.114, 0.386, 0.386], [0.386, 0.114, 0.114], [0.125, 0.625, 0.625], [0.625, 0.125, 0.625], [0.625, 0.625, 0.125], [0.625, 0.625, 0.625], [0.625, 0.125, 0.125], [0.125, 0.625, 0.125], [0.125, 0.125, 0.625], [0.125, 0.125, 0.125]]}



(3)
{"formula": "K2SbF5", "functional": "PBE-GGA", "state": "relaxed", "e_form_kj_per_mol_fu": -2257, "energy_ev_per_atom": -4.626, "space_group": "P2_1/c (14)", "lattice_angstrom": [[6.583, 0.000, 0.000], [0.000, 7.789, 0.000], [0.000, 5.383, 11.661]], "species": ["K", "K", "K", "K", "K", "K", "K", "K", "Sb", "Sb", "Sb", "Sb", "F", "F", "F", "F", "F", "F", "F", "F", "F", "F", "F", "F", "F", "F", "F", "F", "F", "F", "F", "F"], "fractional_positions": [[0.745, 0.151, 0.455], [0.245, 0.849, 0.045], [0.255, 0.849, 0.545], [0.755, 0.151, 0.955], [0.262, 0.492, 0.380], [0.762, 0.508, 0.120], [0.738, 0.508, 0.620], [0.238, 0.492, 0.880], [0.228, 0.183, 0.702], [0.728, 0.817, 0.798], [0.772, 0.817, 0.298], [0.272, 0.183, 0.202], [0.301, 0.453, 0.611], [0.801, 0.547, 0.889], [0.699, 0.547, 0.389], [0.199, 0.453, 0.111], [0.424, 0.162, 0.573], [0.924, 0.838, 0.927], [0.576, 0.838, 0.427], [0.076, 0.162, 0.073], [0.006, 0.253, 0.574], [0.506, 0.747, 0.926], [0.994, 0.747, 0.426], [0.494, 0.253, 0.074], [0.454, 0.223, 0.810], [0.954, 0.777, 0.690], [0.546, 0.777, 0.190], [0.046, 0.223, 0.310], [0.022, 0.298, 0.780], [0.522, 0.702, 0.720], [0.978, 0.702, 0.220], [0.478, 0.298, 0.280]]}



(4)
{"formula": "NaBiS2", "functional": "PBE-GGA", "state": "relaxed", "e_form_kj_per_mol_fu": -384, "energy_ev_per_atom": -4.114, "space_group": "R-3m (166)", "lattice_angstrom": [[6.900, -2.034, 0.000], [6.900, 2.034, 0.000], [6.301, 0.000, 3.472]], "species": ["Na", "Bi", "S", "S"], "fractional_positions": [[0.500, 0.500, 0.500], [0.000, 0.000, 0.000], [0.254, 0.254, 0.254], [0.746, 0.746, 0.746]]}



(5)
{"formula": "LuMgCrS4", "functional": "PBE-GGA", "state": "relaxed", "e_form_kj_per_mol_fu": -1111, "total_magnetization_mub_per_atom": 0.429, "energy_ev_per_atom": -5.975, "space_group": "C2/m (12)", "lattice_angstrom": [[-5.892, -4.277, 2.098], [0.222, -3.868, 6.415], [-4.266, 2.027, 5.833]], "species": ["Lu", "Lu", "Mg", "Mg", "Cr", "Cr", "S", "S", "S", "S", "S", "S", "S", "S"], "fractional_positions": [[0.500, 0.500, 0.500], [0.000, 0.500, 0.500], [0.875, 0.874, 0.875], [0.125, 0.126, 0.125], [0.500, 0.500, 0.000], [0.500, 0.000, 0.500], [0.715, 0.753, 0.751], [0.270, 0.234, 0.727], [0.269, 0.727, 0.235], [0.719, 0.247, 0.249], [0.731, 0.273, 0.765], [0.281, 0.753, 0.751], [0.285, 0.247, 0.249], [0.731, 0.766, 0.273]]}



What is the formula in the third record? K2SbF5